No. 1
Na14Nb4Zn4Si9S3O48 | PBE | relaxed

Unit cell a=18.358 b=9.142 c=22.385 alpha=90.15 beta=89.86 gamma=119.95
Element x y z (fractional)
1 Na 0.817 0.993 0.257
2 Na 0.175 0.350 0.250
3 Na 0.670 0.360 0.252
4 Na 0.006 0.650 0.247
5 Na 0.511 0.644 0.252
6 Na 0.317 0.640 0.760
7 Na 0.012 0.377 0.756
8 Na 0.505 0.367 0.749
9 Na 0.172 0.980 0.756
10 Na 0.671 0.990 0.753
11 Na 0.144 0.311 0.587
12 Na 0.642 0.312 0.588
13 Na 0.340 0.984 0.583
14 Na 0.840 0.971 0.592
15 Na 0.145 0.977 0.088
16 Na 0.638 0.969 0.086
17 Na 0.345 0.707 0.089
18 Na 0.839 0.699 0.080
19 Na 0.478 0.665 0.919
20 Na 0.976 0.646 0.921
21 Na 0.353 0.048 0.916
22 Na 0.849 0.045 0.920
23 Na 0.172 0.295 0.925
24 Na 0.667 0.280 0.918
25 Na 0.476 0.307 0.419
26 Na 0.981 0.293 0.410
27 Na 0.168 0.054 0.415
28 Na 0.670 0.046 0.422
29 Na 0.350 0.651 0.417
30 Na 0.852 0.662 0.412
31 Na 0.011 0.992 0.499
32 Na 0.506 0.000 0.506
33 Na 0.006 0.012 0.009
34 Na 0.508 0.014 0.005
35 Na 0.333 0.332 0.844
36 Na 0.833 0.338 0.845
37 Na 0.332 0.323 0.340
38 Na 0.833 0.333 0.339
39 Na 0.168 0.667 0.169
40 Na 0.653 0.648 0.171
41 Na 0.156 0.661 0.674
42 Na 0.666 0.668 0.671
43 Nb 0.503 0.008 0.351
44 Nb 0.002 0.995 0.853
45 Nb 0.333 0.328 0.685
46 Nb 0.831 0.326 0.692
47 Nb 0.337 0.348 0.189
48 Nb 0.834 0.338 0.184
49 Nb 0.155 0.650 0.021
50 Nb 0.658 0.646 0.019
51 Nb 0.165 0.681 0.516
52 Nb 0.654 0.659 0.521
53 Nb 0.166 0.664 0.313
54 Nb 0.667 0.668 0.814
55 Zn 0.018 0.035 0.349
56 Zn 0.517 0.001 0.851
57 Zn 0.008 0.004 0.659
58 Zn 0.521 0.013 0.651
59 Zn 0.022 0.027 0.152
60 Zn 0.506 0.999 0.153
61 Zn 0.334 0.333 0.987
62 Zn 0.831 0.346 0.980
63 Zn 0.330 0.316 0.480
64 Zn 0.829 0.341 0.481
65 Zn 0.653 0.647 0.317
66 Zn 0.154 0.660 0.819
67 Si 0.150 0.999 0.249
68 Si 0.651 0.996 0.249
69 Si 0.355 0.716 0.247
70 Si 0.996 0.285 0.252
71 Si 0.500 0.291 0.246
72 Si 0.149 0.303 0.748
73 Si 0.646 0.299 0.749
74 Si 0.001 0.707 0.747
75 Si 0.497 0.709 0.751
76 Si 0.856 0.993 0.746
77 Si 0.477 0.323 0.580
78 Si 0.182 0.037 0.580
79 Si 0.690 0.043 0.579
80 Si 0.479 0.627 0.079
81 Si 0.978 0.632 0.080
82 Si 0.189 0.337 0.080
83 Si 0.684 0.330 0.079
84 Si 0.812 0.671 0.918
85 Si 0.015 0.364 0.914
86 Si 0.516 0.362 0.913
87 Si 0.171 0.961 0.913
88 Si 0.666 0.957 0.919
89 Si 0.314 0.959 0.415
90 Si 0.165 0.374 0.420
91 Si 0.669 0.381 0.413
92 Si 0.015 0.665 0.414
93 Si 0.515 0.667 0.414
94 S 0.853 0.705 0.249
95 S 0.353 0.001 0.747
96 S 0.980 0.340 0.581
97 S 0.331 0.626 0.584
98 S 0.833 0.625 0.581
99 S 0.332 0.040 0.081
100 S 0.832 0.038 0.083
101 S 0.311 0.672 0.916
102 S 0.812 0.953 0.418
103 O 0.118 0.051 0.309
104 O 0.601 0.033 0.307
105 O 0.418 0.808 0.306
106 O 0.903 0.776 0.303
107 O 0.488 0.174 0.309
108 O 0.971 0.173 0.313
109 O 0.099 0.166 0.805
110 O 0.617 0.181 0.808
111 O 0.471 0.770 0.812
112 O 0.986 0.797 0.808
113 O 0.404 0.033 0.802
114 O 0.918 0.029 0.805
115 O 0.394 0.986 0.693
116 O 0.894 0.975 0.684
117 O 0.092 0.233 0.689
118 O 0.591 0.235 0.690
119 O 0.021 0.828 0.692
120 O 0.518 0.829 0.695
121 O 0.390 0.812 0.186
122 O 0.894 0.803 0.194
123 O 0.017 0.205 0.196
124 O 0.519 0.199 0.193
125 O 0.089 0.941 0.191
126 O 0.593 0.952 0.191
127 O 0.430 0.352 0.640
128 O 0.940 0.359 0.637
129 O 0.249 0.140 0.639
130 O 0.753 0.142 0.639
131 O 0.321 0.514 0.637
132 O 0.824 0.515 0.633
133 O 0.431 0.504 0.139
134 O 0.931 0.507 0.140
135 O 0.320 0.127 0.133
136 O 0.823 0.132 0.138
137 O 0.251 0.365 0.139
138 O 0.751 0.359 0.138
139 O 0.229 0.308 0.020
140 O 0.729 0.304 0.022
141 O 0.425 0.540 0.020
142 O 0.925 0.546 0.021
143 O 0.340 0.129 0.024
144 O 0.843 0.135 0.029
145 O 0.227 0.148 0.522
146 O 0.735 0.153 0.521
147 O 0.341 0.549 0.529
148 O 0.844 0.554 0.525
149 O 0.424 0.304 0.521
150 O 0.932 0.328 0.528
151 O 0.264 0.683 0.971
152 O 0.768 0.700 0.978
153 O 0.082 0.468 0.973
154 O 0.582 0.468 0.971
155 O 0.156 0.830 0.972
156 O 0.658 0.831 0.976
157 O 0.266 0.839 0.476
158 O 0.765 0.847 0.472
159 O 0.157 0.483 0.479
160 O 0.657 0.483 0.473
161 O 0.084 0.697 0.472
162 O 0.581 0.695 0.473
163 O 0.066 0.641 0.358
164 O 0.556 0.636 0.356
165 O 0.249 0.845 0.362
166 O 0.762 0.878 0.364
167 O 0.171 0.491 0.361
168 O 0.688 0.497 0.355
169 O 0.055 0.474 0.855
170 O 0.570 0.491 0.857
171 O 0.187 0.881 0.854
172 O 0.672 0.856 0.859
173 O 0.261 0.651 0.861
174 O 0.750 0.655 0.862
175 O 0.007 0.832 0.413
176 O 0.516 0.850 0.414
177 O 0.404 0.963 0.412
178 O 0.894 0.959 0.418
179 O 0.078 0.196 0.421
180 O 0.579 0.196 0.412
181 O 0.016 0.183 0.913
182 O 0.510 0.180 0.911
183 O 0.080 0.965 0.911
184 O 0.579 0.960 0.920
185 O 0.393 0.828 0.917
186 O 0.905 0.846 0.910
187 O 0.488 0.160 0.588
188 O 0.989 0.187 0.585
189 O 0.091 0.022 0.588
190 O 0.598 0.023 0.584
191 O 0.400 0.797 0.592
192 O 0.904 0.800 0.587
193 O 0.491 0.813 0.086
194 O 0.988 0.817 0.089
195 O 0.403 0.010 0.087
196 O 0.902 0.006 0.092
197 O 0.096 0.174 0.086
198 O 0.594 0.169 0.088
199 O 0.345 0.164 0.744
200 O 0.847 0.172 0.743
201 O 0.241 0.305 0.742
202 O 0.742 0.318 0.737
203 O 0.414 0.512 0.739
204 O 0.916 0.515 0.739
205 O 0.346 0.522 0.246
206 O 0.845 0.527 0.244
207 O 0.414 0.310 0.242
208 O 0.914 0.318 0.241
209 O 0.242 0.170 0.236
210 O 0.743 0.180 0.244
211 O 0.320 0.520 0.920
212 O 0.821 0.506 0.914
213 O 0.428 0.360 0.916
214 O 0.923 0.338 0.924
215 O 0.249 0.150 0.921
216 O 0.751 0.137 0.918
217 O 0.321 0.140 0.414
218 O 0.824 0.126 0.424
219 O 0.250 0.365 0.419
220 O 0.748 0.348 0.419
221 O 0.423 0.508 0.424
222 O 0.927 0.488 0.421
223 O 0.188 0.522 0.076
224 O 0.688 0.519 0.079
225 O 0.075 0.650 0.078
226 O 0.576 0.646 0.078
227 O 0.251 0.867 0.079
228 O 0.750 0.873 0.084
229 O 0.183 0.851 0.580
230 O 0.690 0.856 0.577
231 O 0.249 0.628 0.584
232 O 0.752 0.631 0.580
233 O 0.068 0.493 0.580
234 O 0.575 0.500 0.578
235 O 0.160 0.830 0.259
236 O 0.672 0.846 0.260
237 O 0.256 0.669 0.259
238 O 0.768 0.679 0.252
239 O 0.080 0.480 0.258
240 O 0.580 0.480 0.252
241 O 0.171 0.496 0.758
242 O 0.659 0.489 0.757
243 O 0.081 0.677 0.753
244 O 0.580 0.680 0.758
245 O 0.268 0.857 0.751
246 O 0.757 0.845 0.757

Results
Spin magnetization: 0.001 μB/f.u.
DFT formation energy: -2.56 eV/atom
Symmetry: P1, No. 1
Mass density: 3.171 Mg/m³

***

No. 2
Na18Nb8Zn16Si9S27O144 | PBE | relaxed

Unit cell a=17.725 b=8.912 c=22.586 alpha=89.98 beta=90.48 gamma=120.07
Element x y z (fractional)
1 Na 0.355 0.038 0.908
2 Na 0.849 0.038 0.909
3 Na 0.664 0.286 0.907
4 Na 0.165 0.044 0.412
5 Na 0.346 0.654 0.421
6 Na 0.855 0.673 0.411
7 Na 0.006 0.033 0.496
8 Na 0.510 0.013 0.499
9 Na 0.008 0.005 0.993
10 Na 0.504 0.979 0.990
11 Na 0.327 0.332 0.822
12 Na 0.827 0.320 0.823
13 Na 0.326 0.321 0.329
14 Na 0.826 0.322 0.323
15 Na 0.165 0.670 0.160
16 Na 0.672 0.675 0.158
17 Na 0.169 0.670 0.659
18 Na 0.668 0.663 0.663
19 Nb 0.999 0.008 0.650
20 Nb 0.499 0.011 0.652
21 Nb 0.000 0.985 0.150
22 Nb 0.504 0.998 0.147
23 Nb 0.164 0.660 0.313
24 Nb 0.669 0.675 0.309
25 Nb 0.168 0.663 0.809
26 Nb 0.671 0.680 0.809
27 Zn 0.010 0.014 0.346
28 Zn 0.509 0.012 0.350
29 Zn 0.004 0.015 0.843
30 Zn 0.509 0.005 0.846
31 Zn 0.326 0.315 0.687
32 Zn 0.824 0.317 0.688
33 Zn 0.323 0.317 0.182
34 Zn 0.828 0.335 0.188
35 Zn 0.330 0.338 0.983
36 Zn 0.831 0.318 0.979
37 Zn 0.327 0.337 0.485
38 Zn 0.829 0.322 0.490
39 Zn 0.165 0.666 0.017
40 Zn 0.666 0.679 0.013
41 Zn 0.166 0.651 0.519
42 Zn 0.664 0.665 0.519
43 Si 0.155 0.009 0.255
44 Si 0.650 0.008 0.254
45 Si 0.859 0.705 0.257
46 Si 0.151 0.291 0.754
47 Si 0.652 0.303 0.755
48 Si 0.358 0.012 0.758
49 Si 0.857 0.012 0.756
50 Si 0.662 0.961 0.920
51 Si 0.163 0.363 0.420
52 S 0.354 0.710 0.252
53 S 0.000 0.291 0.249
54 S 0.498 0.289 0.251
55 S 0.000 0.711 0.751
56 S 0.499 0.708 0.749
57 S 0.479 0.335 0.582
58 S 0.979 0.335 0.585
59 S 0.182 0.027 0.581
60 S 0.683 0.031 0.582
61 S 0.336 0.633 0.583
62 S 0.834 0.629 0.581
63 S 0.477 0.618 0.087
64 S 0.979 0.620 0.083
65 S 0.332 0.035 0.082
66 S 0.835 0.040 0.084
67 S 0.185 0.336 0.083
68 S 0.685 0.340 0.082
69 S 0.309 0.659 0.919
70 S 0.815 0.668 0.918
71 S 0.023 0.378 0.919
72 S 0.518 0.381 0.920
73 S 0.165 0.956 0.919
74 S 0.316 0.959 0.416
75 S 0.810 0.961 0.419
76 S 0.665 0.377 0.419
77 S 0.019 0.656 0.420
78 S 0.521 0.667 0.418
79 O 0.116 0.027 0.315
80 O 0.605 0.032 0.310
81 O 0.401 0.789 0.307
82 O 0.907 0.799 0.318
83 O 0.483 0.187 0.305
84 O 0.990 0.196 0.304
85 O 0.113 0.179 0.812
86 O 0.615 0.197 0.815
87 O 0.487 0.781 0.803
88 O 0.988 0.785 0.805
89 O 0.407 0.015 0.818
90 O 0.901 0.015 0.818
91 O 0.404 0.971 0.698
92 O 0.906 0.974 0.698
93 O 0.085 0.190 0.695
94 O 0.584 0.191 0.697
95 O 0.016 0.827 0.698
96 O 0.514 0.825 0.696
97 O 0.399 0.827 0.199
98 O 0.906 0.837 0.198
99 O 0.017 0.209 0.197
100 O 0.511 0.199 0.198
101 O 0.086 0.980 0.197
102 O 0.584 0.979 0.194
103 O 0.438 0.353 0.636
104 O 0.933 0.345 0.636
105 O 0.237 0.116 0.632
106 O 0.736 0.116 0.634
107 O 0.329 0.524 0.633
108 O 0.827 0.522 0.631
109 O 0.432 0.520 0.140
110 O 0.939 0.524 0.137
111 O 0.324 0.122 0.134
112 O 0.828 0.132 0.135
113 O 0.238 0.362 0.137
114 O 0.736 0.357 0.135
115 O 0.222 0.303 0.029
116 O 0.716 0.304 0.027
117 O 0.428 0.551 0.032
118 O 0.927 0.546 0.029
119 O 0.349 0.135 0.027
120 O 0.848 0.132 0.027
121 O 0.216 0.125 0.524
122 O 0.717 0.133 0.527
123 O 0.348 0.567 0.526
124 O 0.846 0.558 0.524
125 O 0.427 0.307 0.527
126 O 0.931 0.307 0.528
127 O 0.267 0.683 0.971
128 O 0.773 0.690 0.971
129 O 0.073 0.460 0.973
130 O 0.571 0.459 0.974
131 O 0.159 0.859 0.973
132 O 0.653 0.856 0.979
133 O 0.276 0.855 0.468
134 O 0.766 0.850 0.470
135 O 0.158 0.466 0.475
136 O 0.659 0.462 0.472
137 O 0.075 0.684 0.471
138 O 0.574 0.692 0.471
139 O 0.067 0.648 0.363
140 O 0.569 0.657 0.363
141 O 0.257 0.866 0.361
142 O 0.754 0.864 0.363
143 O 0.175 0.496 0.360
144 O 0.673 0.486 0.365
145 O 0.070 0.482 0.865
146 O 0.564 0.482 0.866
147 O 0.174 0.861 0.866
148 O 0.674 0.851 0.862
149 O 0.254 0.645 0.864
150 O 0.758 0.646 0.863
151 O 0.008 0.809 0.415
152 O 0.505 0.816 0.413
153 O 0.401 0.968 0.407
154 O 0.895 0.976 0.414
155 O 0.079 0.170 0.413
156 O 0.587 0.203 0.414
157 O 0.010 0.200 0.916
158 O 0.506 0.203 0.917
159 O 0.088 0.974 0.913
160 O 0.579 0.988 0.912
161 O 0.395 0.814 0.914
162 O 0.902 0.824 0.913
163 O 0.487 0.168 0.588
164 O 0.988 0.169 0.590
165 O 0.093 0.008 0.589
166 O 0.593 0.012 0.589
167 O 0.418 0.812 0.590
168 O 0.916 0.808 0.588
169 O 0.485 0.803 0.093
170 O 0.987 0.805 0.089
171 O 0.413 0.015 0.092
172 O 0.919 0.027 0.092
173 O 0.095 0.175 0.090
174 O 0.591 0.174 0.092
175 O 0.346 0.173 0.745
176 O 0.848 0.177 0.743
177 O 0.249 0.347 0.741
178 O 0.749 0.348 0.742
179 O 0.427 0.536 0.738
180 O 0.929 0.538 0.740
181 O 0.345 0.540 0.243
182 O 0.846 0.519 0.245
183 O 0.428 0.325 0.240
184 O 0.929 0.323 0.240
185 O 0.250 0.169 0.244
186 O 0.747 0.153 0.242
187 O 0.313 0.497 0.920
188 O 0.819 0.506 0.920
189 O 0.430 0.365 0.922
190 O 0.936 0.368 0.918
191 O 0.249 0.127 0.920
192 O 0.755 0.151 0.917
193 O 0.322 0.129 0.417
194 O 0.813 0.129 0.420
195 O 0.255 0.356 0.418
196 O 0.748 0.370 0.419
197 O 0.436 0.504 0.418
198 O 0.933 0.495 0.419
199 O 0.172 0.488 0.078
200 O 0.668 0.486 0.078
201 O 0.070 0.656 0.078
202 O 0.566 0.650 0.086
203 O 0.257 0.857 0.078
204 O 0.761 0.859 0.082
205 O 0.170 0.850 0.576
206 O 0.671 0.855 0.577
207 O 0.261 0.663 0.582
208 O 0.758 0.656 0.578
209 O 0.068 0.484 0.583
210 O 0.569 0.482 0.578
211 O 0.155 0.819 0.256
212 O 0.646 0.814 0.257
213 O 0.265 0.696 0.252
214 O 0.759 0.691 0.260
215 O 0.084 0.471 0.253
216 O 0.584 0.459 0.256
217 O 0.147 0.477 0.759
218 O 0.646 0.483 0.758
219 O 0.085 0.705 0.756
220 O 0.583 0.702 0.752
221 O 0.259 0.826 0.761
222 O 0.759 0.826 0.755

Results
Spin magnetization: 0.000 μB/f.u.
DFT formation energy: -2.21 eV/atom
Symmetry: P1, No. 1
Mass density: 3.026 Mg/m³

***

Question: Which formula does entry 1 have?
Answer: Na14Nb4Zn4Si9S3O48

***

Question: The highest spin magnetization belongs to which entry?
Answer: Na14Nb4Zn4Si9S3O48